The following is a GGA-PBE calculation of a relaxed structure of Na2ScNbSi2SO12, from the Materials Project database.

a = 9.013 Å, b = 9.013 Å, c = 22.813 Å
α = 90.21°, β = 89.79°, γ = 119.65°
Fractional positions:
Na (0.982, 0.621, 0.250)
Na (0.379, 0.018, 0.750)
Na (0.648, 0.954, 0.583)
Na (0.046, 0.352, 0.083)
Na (0.315, 0.287, 0.916)
Na (0.713, 0.685, 0.416)
Na (0.013, 0.990, 0.494)
Na (0.010, 0.987, 0.994)
Na (0.680, 0.324, 0.828)
Na (0.676, 0.320, 0.328)
Na (0.347, 0.657, 0.161)
Na (0.343, 0.653, 0.661)
Sc (0.988, 0.999, 0.353)
Sc (0.001, 0.012, 0.853)
Sc (0.655, 0.332, 0.686)
Sc (0.668, 0.345, 0.186)
Sc (0.321, 0.665, 0.020)
Sc (0.335, 0.679, 0.520)
Nb (0.999, 0.003, 0.646)
Nb (0.997, 0.001, 0.146)
Nb (0.665, 0.336, 0.979)
Nb (0.664, 0.335, 0.479)
Nb (0.332, 0.670, 0.312)
Nb (0.330, 0.668, 0.812)
Si (0.706, 0.710, 0.252)
Si (0.998, 0.292, 0.251)
Si (0.290, 0.294, 0.752)
Si (0.708, 0.002, 0.751)
Si (0.372, 0.043, 0.586)
Si (0.665, 0.625, 0.585)
Si (0.957, 0.628, 0.086)
Si (0.375, 0.335, 0.085)
Si (0.039, 0.377, 0.919)
Si (0.332, 0.958, 0.918)
Si (0.623, 0.961, 0.419)
Si (0.042, 0.668, 0.418)
S (0.288, 0.999, 0.250)
S (0.001, 0.712, 0.750)
S (0.955, 0.332, 0.583)
S (0.668, 0.045, 0.083)
S (0.622, 0.666, 0.917)
S (0.334, 0.378, 0.417)
O (0.211, 0.020, 0.303)
O (0.822, 0.789, 0.310)
O (0.990, 0.180, 0.306)
O (0.211, 0.178, 0.810)
O (0.980, 0.789, 0.803)
O (0.820, 0.010, 0.806)
O (0.801, 0.975, 0.690)
O (0.162, 0.185, 0.696)
O (0.027, 0.822, 0.697)
O (0.815, 0.838, 0.196)
O (0.025, 0.199, 0.190)
O (0.178, 0.973, 0.197)
O (0.878, 0.353, 0.637)
O (0.489, 0.123, 0.643)
O (0.657, 0.513, 0.640)
O (0.877, 0.511, 0.143)
O (0.647, 0.122, 0.137)
O (0.487, 0.343, 0.140)
O (0.467, 0.308, 0.024)
O (0.828, 0.519, 0.029)
O (0.694, 0.155, 0.031)
O (0.481, 0.172, 0.529)
O (0.692, 0.533, 0.524)
O (0.845, 0.306, 0.531)
O (0.544, 0.687, 0.970)
O (0.155, 0.456, 0.977)
O (0.323, 0.847, 0.973)
O (0.544, 0.845, 0.477)
O (0.313, 0.456, 0.470)
O (0.153, 0.677, 0.473)
O (0.134, 0.641, 0.357)
O (0.495, 0.852, 0.362)
O (0.361, 0.488, 0.364)
O (0.148, 0.505, 0.862)
O (0.359, 0.866, 0.857)
O (0.512, 0.639, 0.864)
O (0.013, 0.831, 0.413)
O (0.811, 0.983, 0.412)
O (0.194, 0.205, 0.409)
O (0.017, 0.189, 0.912)
O (0.169, 0.987, 0.913)
O (0.795, 0.806, 0.909)
O (0.959, 0.165, 0.586)
O (0.183, 0.032, 0.591)
O (0.839, 0.821, 0.591)
O (0.968, 0.817, 0.091)
O (0.835, 0.041, 0.086)
O (0.179, 0.161, 0.091)
O (0.680, 0.164, 0.746)
O (0.478, 0.316, 0.745)
O (0.860, 0.538, 0.743)
O (0.684, 0.522, 0.245)
O (0.836, 0.320, 0.246)
O (0.462, 0.140, 0.243)
O (0.625, 0.499, 0.920)
O (0.850, 0.365, 0.924)
O (0.506, 0.154, 0.924)
O (0.635, 0.150, 0.424)
O (0.501, 0.375, 0.420)
O (0.846, 0.494, 0.424)
O (0.347, 0.498, 0.079)
O (0.145, 0.649, 0.078)
O (0.527, 0.872, 0.076)
O (0.351, 0.855, 0.578)
O (0.502, 0.653, 0.579)
O (0.128, 0.473, 0.576)
O (0.292, 0.832, 0.253)
O (0.517, 0.698, 0.257)
O (0.173, 0.488, 0.257)
O (0.302, 0.483, 0.757)
O (0.168, 0.708, 0.753)
O (0.512, 0.827, 0.757)

Output
E_form in eV per atom: -2.831
Total magnetic moment in μB per atom: 0.000
E_tot in eV/f.u.: -138.99



The following is a GGA-PBE calculation of a relaxed structure of Na10Sc4Nb4Si9S3O48, from the Materials Project database.

a = 9.061 Å, b = 15.765 Å, c = 22.627 Å
α = 89.47°, β = 89.96°, γ = 89.99°
Fractional positions:
Na (0.000, 0.000, 0.000)
Na (0.001, 0.667, 0.667)
Na (0.014, 0.968, 0.338)
Na (0.131, 0.466, 0.838)
Na (0.135, 0.803, 0.172)
Na (0.142, 0.836, 0.833)
Na (0.145, 0.500, 0.500)
Na (0.177, 0.140, 0.843)
Na (0.307, 0.325, 0.249)
Na (0.314, 0.982, 0.420)
Na (0.324, 0.328, 0.750)
Na (0.333, 0.662, 0.584)
Na (0.335, 0.657, 0.087)
Na (0.342, 0.989, 0.921)
Na (0.465, 0.141, 0.341)
Na (0.493, 0.835, 0.339)
Na (0.501, 0.498, 0.001)
Na (0.509, 0.167, 0.668)
Na (0.514, 0.467, 0.338)
Na (0.635, 0.303, 0.172)
Na (0.646, 0.000, 0.501)
Na (0.654, 0.333, 0.838)
Na (0.807, 0.825, 0.249)
Na (0.814, 0.482, 0.420)
Na (0.814, 0.830, 0.752)
Na (0.824, 0.489, 0.917)
Na (0.830, 0.161, 0.588)
Na (0.834, 0.157, 0.086)
Na (0.964, 0.641, 0.341)
Na (0.993, 0.335, 0.338)
Sc (0.314, 0.313, 0.111)
Sc (0.322, 0.654, 0.444)
Sc (0.322, 0.978, 0.276)
Sc (0.324, 0.315, 0.612)
Sc (0.324, 0.650, 0.946)
Sc (0.326, 0.980, 0.776)
Sc (0.814, 0.812, 0.111)
Sc (0.820, 0.479, 0.779)
Sc (0.822, 0.154, 0.445)
Sc (0.822, 0.154, 0.944)
Sc (0.822, 0.478, 0.276)
Sc (0.823, 0.816, 0.612)
Nb (0.308, 0.978, 0.071)
Nb (0.311, 0.644, 0.736)
Nb (0.317, 0.309, 0.404)
Nb (0.332, 0.308, 0.902)
Nb (0.334, 0.648, 0.238)
Nb (0.338, 0.976, 0.571)
Nb (0.808, 0.477, 0.071)
Nb (0.817, 0.809, 0.404)
Nb (0.818, 0.148, 0.740)
Nb (0.833, 0.810, 0.905)
Nb (0.834, 0.148, 0.238)
Nb (0.835, 0.475, 0.571)
Si (0.023, 0.982, 0.177)
Si (0.030, 0.647, 0.843)
Si (0.032, 0.310, 0.510)
Si (0.113, 0.146, 0.344)
Si (0.117, 0.477, 0.677)
Si (0.117, 0.811, 0.012)
Si (0.176, 0.793, 0.340)
Si (0.177, 0.168, 0.010)
Si (0.177, 0.835, 0.679)
Si (0.179, 0.503, 0.345)
Si (0.468, 0.167, 0.513)
Si (0.470, 0.504, 0.846)
Si (0.472, 0.835, 0.178)
Si (0.523, 0.482, 0.177)
Si (0.533, 0.143, 0.843)
Si (0.533, 0.810, 0.510)
Si (0.613, 0.646, 0.344)
Si (0.614, 0.310, 0.012)
Si (0.623, 0.981, 0.677)
Si (0.676, 0.293, 0.340)
Si (0.676, 0.334, 0.678)
Si (0.677, 0.668, 0.011)
Si (0.680, 0.003, 0.345)
Si (0.964, 0.001, 0.845)
Si (0.968, 0.667, 0.513)
Si (0.971, 0.294, 0.841)
Si (0.972, 0.335, 0.178)
S (0.172, 0.459, 0.008)
S (0.173, 0.125, 0.674)
S (0.472, 0.125, 0.175)
S (0.474, 0.792, 0.841)
S (0.475, 0.459, 0.507)
S (0.673, 0.625, 0.675)
S (0.673, 0.958, 0.008)
S (0.972, 0.625, 0.175)
S (0.975, 0.959, 0.507)
O (0.003, 0.813, 0.672)
O (0.004, 0.145, 0.005)
O (0.004, 0.489, 0.336)
O (0.005, 0.829, 0.953)
O (0.007, 0.167, 0.284)
O (0.007, 0.496, 0.618)
O (0.008, 0.126, 0.398)
O (0.009, 0.469, 0.014)
O (0.010, 0.133, 0.677)
O (0.018, 0.475, 0.735)
O (0.018, 0.807, 0.070)
O (0.128, 0.972, 0.234)
O (0.136, 0.666, 0.782)
O (0.136, 0.995, 0.117)
O (0.137, 0.330, 0.450)
O (0.137, 0.633, 0.176)
O (0.138, 0.968, 0.512)
O (0.140, 0.310, 0.565)
O (0.141, 0.986, 0.836)
O (0.142, 0.638, 0.897)
O (0.142, 0.647, 0.506)
O (0.145, 0.320, 0.171)
O (0.153, 0.300, 0.847)
O (0.199, 0.409, 0.953)
O (0.200, 0.733, 0.280)
O (0.201, 0.558, 0.404)
O (0.206, 0.887, 0.738)
O (0.209, 0.237, 0.349)
O (0.211, 0.072, 0.622)
O (0.213, 0.227, 0.065)
O (0.213, 0.904, 0.014)
O (0.214, 0.570, 0.680)
O (0.226, 0.733, 0.004)
O (0.227, 0.400, 0.670)
O (0.231, 0.071, 0.335)
O (0.231, 0.086, 0.730)
O (0.239, 0.418, 0.059)
O (0.239, 0.890, 0.336)
O (0.241, 0.544, 0.003)
O (0.243, 0.209, 0.670)
O (0.248, 0.217, 0.949)
O (0.249, 0.890, 0.621)
O (0.257, 0.750, 0.395)
O (0.261, 0.554, 0.288)
O (0.265, 0.410, 0.349)
O (0.267, 0.074, 0.016)
O (0.267, 0.741, 0.682)
O (0.376, 0.743, 0.179)
O (0.380, 0.073, 0.515)
O (0.380, 0.411, 0.848)
O (0.391, 0.557, 0.788)
O (0.393, 0.890, 0.121)
O (0.396, 0.219, 0.453)
O (0.404, 0.543, 0.503)
O (0.404, 0.877, 0.837)
O (0.408, 0.071, 0.836)
O (0.410, 0.212, 0.171)
O (0.410, 0.752, 0.894)
O (0.412, 0.416, 0.560)
O (0.416, 0.087, 0.230)
O (0.423, 0.570, 0.181)
O (0.427, 0.731, 0.505)
O (0.428, 0.397, 0.171)
O (0.432, 0.902, 0.514)
O (0.434, 0.073, 0.123)
O (0.436, 0.221, 0.571)
O (0.437, 0.555, 0.905)
O (0.437, 0.885, 0.238)
O (0.439, 0.236, 0.848)
O (0.444, 0.741, 0.788)
O (0.446, 0.408, 0.452)
O (0.493, 0.300, 0.349)
O (0.502, 0.314, 0.672)
O (0.503, 0.646, 0.005)
O (0.504, 0.989, 0.336)
O (0.505, 0.329, 0.952)
O (0.507, 0.667, 0.284)
O (0.508, 0.626, 0.398)
O (0.509, 0.634, 0.680)
O (0.510, 0.966, 0.013)
O (0.510, 0.975, 0.731)
O (0.512, 0.995, 0.616)
O (0.516, 0.310, 0.070)
O (0.628, 0.472, 0.234)
O (0.634, 0.131, 0.900)
O (0.635, 0.495, 0.117)
O (0.636, 0.163, 0.783)
O (0.636, 0.802, 0.846)
O (0.637, 0.133, 0.176)
O (0.637, 0.830, 0.449)
O (0.638, 0.468, 0.512)
O (0.641, 0.810, 0.565)
O (0.642, 0.147, 0.506)
O (0.643, 0.484, 0.838)
O (0.645, 0.820, 0.171)
O (0.699, 0.233, 0.280)
O (0.701, 0.058, 0.404)
O (0.701, 0.573, 0.621)
O (0.703, 0.905, 0.954)
O (0.706, 0.388, 0.737)
O (0.710, 0.726, 0.066)
O (0.710, 0.737, 0.349)
O (0.714, 0.403, 0.014)
O (0.716, 0.071, 0.680)
O (0.721, 0.230, 0.007)
O (0.728, 0.900, 0.671)
O (0.731, 0.571, 0.335)
O (0.737, 0.585, 0.727)
O (0.738, 0.918, 0.061)
O (0.739, 0.390, 0.336)
O (0.741, 0.710, 0.670)
O (0.743, 0.041, 0.002)
O (0.748, 0.390, 0.620)
O (0.748, 0.720, 0.951)
O (0.757, 0.250, 0.395)
O (0.761, 0.054, 0.288)
O (0.762, 0.240, 0.680)
O (0.765, 0.574, 0.015)
O (0.765, 0.910, 0.349)
O (0.876, 0.244, 0.179)
O (0.880, 0.573, 0.516)
O (0.883, 0.906, 0.850)
O (0.892, 0.053, 0.786)
O (0.892, 0.251, 0.897)
O (0.893, 0.390, 0.121)
O (0.897, 0.720, 0.453)
O (0.904, 0.042, 0.503)
O (0.906, 0.389, 0.836)
O (0.910, 0.712, 0.171)
O (0.912, 0.916, 0.559)
O (0.916, 0.587, 0.230)
O (0.924, 0.070, 0.181)
O (0.926, 0.230, 0.506)
O (0.927, 0.567, 0.836)
O (0.928, 0.896, 0.170)
O (0.932, 0.402, 0.514)
O (0.934, 0.573, 0.123)
O (0.935, 0.738, 0.848)
O (0.937, 0.721, 0.571)
O (0.938, 0.386, 0.238)
O (0.940, 0.230, 0.784)
O (0.946, 0.058, 0.903)
O (0.946, 0.908, 0.452)
O (0.993, 0.800, 0.348)

Output
E_form in eV per atom: -2.882
Total magnetic moment in μB per atom: 0.000
E_tot in eV/f.u.: -569.55



The following is a GGA-PBE calculation of a relaxed structure of Na2Nb4Si5SO24, from the Materials Project database.

a = 8.903 Å, b = 8.907 Å, c = 23.025 Å
α = 89.92°, β = 89.96°, γ = 60.18°
Fractional positions:
Na (0.000, 0.000, 0.000)
Na (0.000, 0.006, 0.490)
Na (0.329, 0.337, 0.658)
Na (0.332, 0.336, 0.162)
Na (0.664, 0.675, 0.828)
Na (0.666, 0.668, 0.324)
Nb (0.002, 0.011, 0.345)
Nb (0.004, 0.998, 0.139)
Nb (0.013, 0.978, 0.850)
Nb (0.019, 0.991, 0.635)
Nb (0.341, 0.330, 0.806)
Nb (0.344, 0.320, 0.516)
Nb (0.349, 0.337, 0.020)
Nb (0.352, 0.323, 0.302)
Nb (0.659, 0.679, 0.976)
Nb (0.661, 0.667, 0.472)
Nb (0.668, 0.678, 0.679)
Nb (0.669, 0.668, 0.183)
Si (0.003, 0.292, 0.242)
Si (0.003, 0.709, 0.742)
Si (0.289, 0.714, 0.244)
Si (0.291, 0.999, 0.744)
Si (0.335, 0.045, 0.410)
Si (0.345, 0.614, 0.911)
Si (0.377, 0.958, 0.079)
Si (0.387, 0.659, 0.577)
Si (0.624, 0.046, 0.911)
Si (0.626, 0.331, 0.410)
Si (0.674, 0.953, 0.575)
Si (0.679, 0.380, 0.078)
Si (0.723, 0.994, 0.243)
Si (0.955, 0.384, 0.577)
Si (0.956, 0.668, 0.077)
S (0.048, 0.334, 0.910)
S (0.049, 0.621, 0.411)
S (0.717, 0.288, 0.744)
O (0.027, 0.178, 0.901)
O (0.029, 0.809, 0.687)
O (0.030, 0.796, 0.406)
O (0.035, 0.167, 0.186)
O (0.127, 0.516, 0.358)
O (0.132, 0.358, 0.856)
O (0.146, 0.363, 0.569)
O (0.146, 0.494, 0.067)
O (0.154, 0.304, 0.962)
O (0.154, 0.540, 0.464)
O (0.166, 0.020, 0.405)
O (0.169, 0.031, 0.687)
O (0.169, 0.804, 0.187)
O (0.171, 0.810, 0.903)
O (0.173, 0.312, 0.253)
O (0.176, 0.520, 0.752)
O (0.189, 0.975, 0.083)
O (0.189, 0.980, 0.801)
O (0.196, 0.836, 0.301)
O (0.196, 0.836, 0.584)
O (0.305, 0.530, 0.967)
O (0.306, 0.524, 0.253)
O (0.307, 0.166, 0.467)
O (0.313, 0.171, 0.753)
O (0.357, 0.496, 0.569)
O (0.359, 0.148, 0.067)
O (0.359, 0.500, 0.853)
O (0.360, 0.144, 0.354)
O (0.470, 0.838, 0.020)
O (0.472, 0.698, 0.520)
O (0.480, 0.694, 0.237)
O (0.481, 0.826, 0.737)
O (0.499, 0.144, 0.571)
O (0.502, 0.141, 0.853)
O (0.502, 0.364, 0.354)
O (0.503, 0.362, 0.070)
O (0.503, 0.636, 0.635)
O (0.503, 0.868, 0.134)
O (0.511, 0.856, 0.418)
O (0.514, 0.638, 0.915)
O (0.525, 0.311, 0.467)
O (0.527, 0.169, 0.966)
O (0.529, 0.169, 0.250)
O (0.538, 0.307, 0.750)
O (0.639, 0.502, 0.134)
O (0.639, 0.867, 0.634)
O (0.649, 0.502, 0.418)
O (0.651, 0.851, 0.916)
O (0.694, 0.464, 0.739)
O (0.696, 0.829, 0.237)
O (0.697, 0.474, 0.018)
O (0.703, 0.833, 0.519)
O (0.791, 0.183, 0.691)
O (0.807, 0.031, 0.186)
O (0.813, 0.035, 0.900)
O (0.816, 0.158, 0.405)
O (0.820, 0.207, 0.797)
O (0.830, 0.480, 0.237)
O (0.832, 0.687, 0.737)
O (0.834, 0.474, 0.520)
O (0.835, 0.695, 0.019)
O (0.836, 0.972, 0.302)
O (0.840, 0.979, 0.587)
O (0.843, 0.187, 0.082)
O (0.862, 0.503, 0.635)
O (0.866, 0.636, 0.134)
O (0.873, 0.639, 0.417)
O (0.875, 0.490, 0.914)
O (0.973, 0.200, 0.300)
O (0.974, 0.192, 0.587)
O (0.974, 0.831, 0.800)
O (0.977, 0.837, 0.083)

Output
E_form in eV per atom: -2.932
Total magnetic moment in μB per atom: 0.000
E_tot in eV/f.u.: -282.13